The following is a PBE calculation of a geometry-optimized Sc2Te3 structure, from the Materials Project database.

Values from the calculation:
- Energy of formation from the pure elements: -1.44 eV per atom
- Uncorrected energy: -112.2 eV per cell

Unit cell a=7.229 b=12.453 c=7.121 alpha=90.00 beta=109.40 gamma=90.00
Space group C2/c (No. 15)
One atom of each set of equivalent atoms:
Sc  0.000  0.085  0.250 [4 per cell]
Sc  0.000  0.249  0.750 [4 per cell]
Te  0.248  0.084  0.000 [8 per cell]
Te  0.250  0.250  0.500 [4 per cell]

***

The following is a PBE calculation of a geometry-optimized YMn2Si2 structure, from the Materials Project database.

Values from the calculation:
- Energy of formation from the pure elements: -0.61 eV per atom
- Uncorrected energy: -77.6 eV per cell

Unit cell a=3.898 b=3.898 c=10.333 alpha=90.00 beta=90.00 gamma=90.00
Space group I4/mmm (No. 139)
One atom of each set of equivalent atoms:
Y  0.000  0.000  0.000 [2 per cell]
Mn  0.000  0.500  0.250 [4 per cell]
Si  0.000  0.000  0.379 [4 per cell]

***

The following is a PBE calculation of a geometry-optimized MgBeB structure, from the Materials Project database.

Values from the calculation:
- Energy of formation from the pure elements: 0.42 eV per atom
- Uncorrected energy: -43.1 eV per cell
- Magnetization: 0.00 μB/atom

Unit cell a=5.230 b=5.230 c=5.230 alpha=90.00 beta=90.00 gamma=90.00
Space group F-43m (No. 216)
One atom of each set of equivalent atoms:
Mg  0.000  0.000  0.000 [4 per cell]
Be  0.000  0.000  0.500 [4 per cell]
B  0.250  0.250  0.250 [4 per cell]

***

The following is a PBE calculation of a geometry-optimized P2H4RhO9 structure, from the Materials Project database.

Values from the calculation:
- Energy of formation from the pure elements: -1.71 eV per atom
- Uncorrected energy: -389.6 eV per cell
- Magnetization: 0.12 μB/atom

Unit cell a=7.330 b=13.469 c=7.311 alpha=90.00 beta=94.63 gamma=90.00
Space group C2 (No. 5)
One atom of each set of equivalent atoms:
P  0.132  0.000  0.261 [4 per cell]
P  0.132  0.311  0.264 [4 per cell]
H  0.028  0.625  0.750 [4 per cell]
H  0.035  0.738  0.243 [4 per cell]
H  0.175  0.276  0.967 [4 per cell]
H  0.182  0.048  0.976 [4 per cell]
Rh  0.152  0.154  0.591 [4 per cell]
O  0.062  0.055  0.763 [4 per cell]
O  0.062  0.257  0.758 [4 per cell]
O  0.078  0.669  0.241 [4 per cell]
O  0.114  0.891  0.269 [4 per cell]
O  0.116  0.420  0.289 [4 per cell]
O  0.238  0.050  0.434 [4 per cell]
O  0.238  0.280  0.094 [4 per cell]
O  0.242  0.255  0.428 [4 per cell]
O  0.245  0.042  0.101 [4 per cell]

***

What is the formula in the third record? MgBeB

***

Among the records above, which one has the highest uncorrected energy? MgBeB